Record 1
## UP2 (PBE)

Data for a geometry-optimized UP2 structure.

Properties
The calculation puts the energy of formation at -0.80 eV/atom.

Geometry as CIF:
```
data_UP2
_chemical_formula_sum 'U8 P16'
_symmetry_space_group_name_H-M 'I 4 m m'
_symmetry_Int_Tables_number 107
_symmetry_space_group_name_Hall 'I 4 -2'
_cell_length_a 5.3679
_cell_length_b 5.3679
_cell_length_c 15.4465
_cell_angle_alpha 90.00
_cell_angle_beta 90.00
_cell_angle_gamma 90.00
loop_
_atom_site_label
_atom_site_fract_x
_atom_site_fract_y
_atom_site_fract_z
U1 0.0000 0.0000 0.0000
U2 0.0000 0.0000 0.4875
U3 0.0000 0.5000 0.2104
P1 0.0000 0.0000 0.1776
P2 0.0000 0.0000 0.6690
P3 0.0000 0.5000 0.0296
P4 0.2265 0.2265 0.8521
```


Record 2
## UV5P3 (PBE)

Data for a geometry-optimized UV5P3 structure.

Properties
The calculation puts the energy of formation at -0.82 eV/atom.

Geometry as CIF:
```
data_UV5P3
_chemical_formula_sum 'U2 V10 P6'
_symmetry_space_group_name_H-M 'P 1 21/m 1'
_symmetry_Int_Tables_number 11
_symmetry_space_group_name_Hall '-P 2yb'
_cell_length_a 7.5129
_cell_length_b 3.3166
_cell_length_c 10.2530
_cell_angle_alpha 90.00
_cell_angle_beta 100.42
_cell_angle_gamma 90.00
loop_
_atom_site_label
_atom_site_fract_x
_atom_site_fract_y
_atom_site_fract_z
U1 0.1928 0.2500 0.2811
V1 0.0742 0.2500 0.5947
V2 0.1294 0.7500 0.0133
V3 0.3154 0.7500 0.7689
V4 0.3774 0.2500 0.0004
V5 0.4704 0.2500 0.5916
P1 0.0979 0.2500 0.8364
P2 0.2509 0.7500 0.5101
P3 0.4319 0.7500 0.1722
```


Record 3
## V3P (PBE)

Data for a geometry-optimized V3P structure.

Properties
The calculation puts the energy of formation at -0.66 eV/atom.

Geometry as CIF:
```
data_V3P
_chemical_formula_sum 'V24 P8'
_symmetry_space_group_name_H-M 'P 42/n'
_symmetry_Int_Tables_number 86
_cell_length_a 9.3398
_cell_length_b 9.3398
_cell_length_c 4.7436
_cell_angle_alpha 90.00
_cell_angle_beta 90.00
_cell_angle_gamma 90.00
loop_
_symmetry_equiv_pos_as_xyz
'x,y,z'
'-x,-y,-z'
'-y,x+1/2,z+1/2'
'y,-x+1/2,-z+1/2'
'-x+1/2,-y+1/2,z'
'x+1/2,y+1/2,-z'
'y+1/2,-x,z+1/2'
'-y+1/2,x,-z+1/2'
loop_
_atom_site_label
_atom_site_fract_x
_atom_site_fract_y
_atom_site_fract_z
V1 0.0341 0.5552 0.2409
V2 0.1023 0.2389 0.0139
V3 0.1579 0.6673 0.7309
P1 0.0418 0.2285 0.5163
```


Which value of energy of formation does entry 3 give? -0.66 eV/atom